(1)
Material: ZnS
Method: DFT, r²SCAN
State: relaxed

Structure (CIF):
```
data_ZnS
_symmetry_space_group_name_H-M 'P 1'
_symmetry_Int_Tables_number 1
_symmetry_space_group_name_Hall 'P 1'
_cell_length_a 3.810
_cell_length_b 3.810
_cell_length_c 62.268
_cell_angle_alpha 90.00
_cell_angle_beta 90.00
_cell_angle_gamma 120.00
loop_
_atom_site_label
_atom_site_type_symbol
_atom_site_fract_x
_atom_site_fract_y
_atom_site_fract_z
Zn1 Zn 0.333 0.667 0.950
Zn2 Zn 0.000 0.000 0.150
Zn3 Zn 0.667 0.333 0.400
Zn4 Zn 0.667 0.333 0.900
Zn5 Zn 0.000 0.000 0.850
Zn6 Zn 0.667 0.333 0.700
Zn7 Zn 0.667 0.333 0.100
Zn8 Zn 0.667 0.333 0.550
Zn9 Zn 0.000 0.000 0.650
Zn10 Zn 0.333 0.667 0.050
Zn11 Zn 0.000 0.000 0.000
Zn12 Zn 0.000 0.000 0.450
Zn13 Zn 0.333 0.667 0.200
Zn14 Zn 0.333 0.667 0.300
Zn15 Zn 0.333 0.667 0.500
Zn16 Zn 0.000 0.000 0.350
Zn17 Zn 0.667 0.333 0.250
Zn18 Zn 0.333 0.667 0.600
Zn19 Zn 0.667 0.333 0.800
Zn20 Zn 0.333 0.667 0.750
S1 S 0.667 0.333 0.588
S2 S 0.667 0.333 0.138
S3 S 0.333 0.667 0.638
S4 S 0.667 0.333 0.838
S5 S 0.333 0.667 0.338
S6 S 0.333 0.667 0.987
S7 S 0.333 0.667 0.088
S8 S 0.333 0.667 0.237
S9 S 0.667 0.333 0.738
S10 S 0.667 0.333 0.937
S11 S 0.000 0.000 0.888
S12 S 0.667 0.333 0.437
S13 S 0.667 0.333 0.288
S14 S 0.000 0.000 0.487
S15 S 0.333 0.667 0.788
S16 S 0.000 0.000 0.387
S17 S 0.000 0.000 0.037
S18 S 0.000 0.000 0.188
S19 S 0.333 0.667 0.537
S20 S 0.000 0.000 0.688
```

Calculated volume, Å³ per atom: 19.6
Formation enthalpy at 0 K, eV/f.u.: -1.924
Theoretical density, g/cm3: 4.1
SG: P3m1

(2)
Material: ZnS
Method: DFT, r²SCAN
State: relaxed

Structure (CIF):
```
data_ZnS
_symmetry_space_group_name_H-M 'P 1'
_symmetry_Int_Tables_number 1
_symmetry_space_group_name_Hall 'P 1'
_cell_length_a 3.808
_cell_length_b 3.808
_cell_length_c 74.695
_cell_angle_alpha 90.00
_cell_angle_beta 90.00
_cell_angle_gamma 120.00
loop_
_atom_site_label
_atom_site_type_symbol
_atom_site_fract_x
_atom_site_fract_y
_atom_site_fract_z
Zn1 Zn 0.000 0.000 0.333
Zn2 Zn 0.333 0.667 0.667
Zn3 Zn 0.333 0.667 0.292
Zn4 Zn 0.667 0.333 0.083
Zn5 Zn 0.000 0.000 0.583
Zn6 Zn 0.000 0.000 0.708
Zn7 Zn 0.667 0.333 0.500
Zn8 Zn 0.667 0.333 0.917
Zn9 Zn 0.667 0.333 0.208
Zn10 Zn 0.667 0.333 0.625
Zn11 Zn 0.000 0.000 0.833
Zn12 Zn 0.333 0.667 0.542
Zn13 Zn 0.333 0.667 0.042
Zn14 Zn 0.000 0.000 0.125
Zn15 Zn 0.333 0.667 0.167
Zn16 Zn 0.333 0.667 0.417
Zn17 Zn 0.000 0.000 0.458
Zn18 Zn 0.333 0.667 0.750
Zn19 Zn 0.333 0.667 0.958
Zn20 Zn 0.000 0.000 0.250
Zn21 Zn 0.667 0.333 0.792
Zn22 Zn 0.667 0.333 0.375
Zn23 Zn 0.333 0.667 0.875
Zn24 Zn 0.000 0.000 0.000
S1 S 0.667 0.333 0.948
S2 S 0.333 0.667 0.781
S3 S 0.333 0.667 0.198
S4 S 0.000 0.000 0.365
S5 S 0.000 0.000 0.490
S6 S 0.667 0.333 0.531
S7 S 0.667 0.333 0.656
S8 S 0.000 0.000 0.740
S9 S 0.333 0.667 0.448
S10 S 0.667 0.333 0.239
S11 S 0.333 0.667 0.906
S12 S 0.333 0.667 0.989
S13 S 0.667 0.333 0.114
S14 S 0.000 0.000 0.615
S15 S 0.000 0.000 0.156
S16 S 0.000 0.000 0.281
S17 S 0.333 0.667 0.698
S18 S 0.333 0.667 0.073
S19 S 0.333 0.667 0.573
S20 S 0.000 0.000 0.865
S21 S 0.667 0.333 0.823
S22 S 0.667 0.333 0.406
S23 S 0.333 0.667 0.323
S24 S 0.000 0.000 0.031
```

Calculated volume, Å³ per atom: 19.5
Formation enthalpy at 0 K, eV/f.u.: -1.924
Theoretical density, g/cm3: 4.1
SG: P3m1